No. 1
Mg2Ti3CoS8: relaxed, PBE.

Lattice parameters (Å, degrees): 7.227 7.227 7.304 119.57 119.57 60.04
Positions (direct):
Mg1 0.122 0.122 0.367
Mg2 0.878 0.878 0.633
Ti1 0.000 0.500 0.000
Ti2 0.500 0.000 0.000
Ti3 0.500 0.500 0.000
Co1 0.500 0.500 0.500
S1 0.258 0.258 0.773
S2 0.267 0.267 0.246
S3 0.267 0.712 0.246
S4 0.288 0.733 0.754
S5 0.712 0.267 0.246
S6 0.733 0.288 0.754
S7 0.733 0.733 0.754
S8 0.742 0.742 0.227

Summary:
Magnetization = 3.00 μB/f.u.
Total DFT energy (no corrections) = -82.99 eV per cell


No. 2
RbCaFe4As4: relaxed, PBE.

Lattice parameters (Å, degrees): 3.939 3.939 12.256 90.00 90.00 90.00
Positions (direct):
Rb1 0.000 0.000 0.000
Ca1 0.500 0.500 0.500
Fe1 0.000 0.500 0.280
Fe2 0.000 0.500 0.720
Fe3 0.500 0.000 0.280
Fe4 0.500 0.000 0.720
As1 0.000 0.000 0.376
As2 0.000 0.000 0.624
As3 0.500 0.500 0.179
As4 0.500 0.500 0.821

Summary:
Magnetization = 0.90 μB/f.u.
Total DFT energy (no corrections) = -59.42 eV per cell


No. 3
MgHg3: relaxed, PBE.

Lattice parameters (Å, degrees): 5.081 5.081 9.067 90.00 90.00 120.00
Positions (direct):
Mg1 0.333 0.667 0.250
Mg2 0.667 0.333 0.750
Hg1 0.000 0.000 0.250
Hg2 0.000 0.000 0.750
Hg3 0.333 0.667 0.574
Hg4 0.333 0.667 0.926
Hg5 0.667 0.333 0.074
Hg6 0.667 0.333 0.426

Summary:
Total DFT energy (no corrections) = -5.66 eV per cell


No. 4
Sc2TeSe2O10: relaxed, PBE.

Lattice parameters (Å, degrees): 6.633 11.221 12.865 90.00 101.77 90.00
Positions (direct):
Sc1 0.198 0.159 0.410
Sc2 0.198 0.341 0.910
Sc3 0.256 0.702 0.533
Sc4 0.256 0.798 0.033
Sc5 0.744 0.202 0.967
Sc6 0.744 0.298 0.467
Sc7 0.802 0.659 0.090
Sc8 0.802 0.841 0.590
Te1 0.321 0.524 0.165
Te2 0.321 0.976 0.665
Te3 0.679 0.024 0.335
Te4 0.679 0.476 0.835
Se1 0.131 0.651 0.781
Se2 0.131 0.849 0.281
Se3 0.292 0.106 0.045
Se4 0.292 0.394 0.545
Se5 0.708 0.606 0.455
Se6 0.708 0.894 0.955
Se7 0.869 0.151 0.719
Se8 0.869 0.349 0.219
O1 0.071 0.517 0.824
O2 0.071 0.983 0.324
O3 0.072 0.191 0.002
O4 0.072 0.309 0.502
O5 0.088 0.222 0.769
O6 0.088 0.278 0.269
O7 0.134 0.643 0.093
O8 0.134 0.857 0.593
O9 0.241 0.525 0.478
O10 0.241 0.975 0.978
O11 0.270 0.730 0.880
O12 0.270 0.770 0.380
O13 0.283 0.629 0.692
O14 0.283 0.871 0.192
O15 0.301 0.080 0.550
O16 0.301 0.420 0.050
O17 0.421 0.185 0.960
O18 0.421 0.315 0.460
O19 0.456 0.121 0.353
O20 0.456 0.379 0.853
O21 0.544 0.621 0.147
O22 0.544 0.879 0.647
O23 0.579 0.685 0.540
O24 0.579 0.815 0.040
O25 0.699 0.580 0.950
O26 0.699 0.920 0.450
O27 0.717 0.129 0.808
O28 0.717 0.371 0.308
O29 0.730 0.230 0.620
O30 0.730 0.270 0.120
O31 0.759 0.025 0.022
O32 0.759 0.475 0.522
O33 0.866 0.143 0.407
O34 0.866 0.357 0.907
O35 0.912 0.722 0.731
O36 0.912 0.778 0.231
O37 0.928 0.691 0.498
O38 0.928 0.809 0.998
O39 0.929 0.017 0.676
O40 0.929 0.483 0.176

Summary:
Magnetization = 0.00 μB/f.u.
Total DFT energy (no corrections) = -394.26 eV per cell


No. 5
Lu5Zr3Ni16As12: relaxed, PBE.

Lattice parameters (Å, degrees): 12.731 12.731 3.883 90.00 90.00 120.00
Positions (direct):
Lu1 0.000 0.181 0.000
Lu2 0.181 0.000 0.000
Lu3 0.333 0.667 0.500
Lu4 0.667 0.333 0.500
Lu5 0.819 0.819 0.000
Zr1 0.000 0.562 0.500
Zr2 0.438 0.438 0.500
Zr3 0.562 0.000 0.500
Ni1 0.000 0.000 0.500
Ni2 0.000 0.723 0.000
Ni3 0.122 0.482 0.000
Ni4 0.182 0.809 0.500
Ni5 0.191 0.373 0.500
Ni6 0.277 0.277 0.000
Ni7 0.360 0.878 0.000
Ni8 0.373 0.191 0.500
Ni9 0.482 0.122 0.000
Ni10 0.518 0.640 0.000
Ni11 0.627 0.818 0.500
Ni12 0.640 0.518 0.000
Ni13 0.723 0.000 0.000
Ni14 0.809 0.182 0.500
Ni15 0.818 0.627 0.500
Ni16 0.878 0.360 0.000
As1 0.000 0.354 0.500
As2 0.000 0.823 0.500
As3 0.173 0.692 0.000
As4 0.177 0.177 0.500
As5 0.308 0.481 0.000
As6 0.354 0.000 0.500
As7 0.481 0.308 0.000
As8 0.519 0.827 0.000
As9 0.646 0.646 0.500
As10 0.692 0.173 0.000
As11 0.823 0.000 0.500
As12 0.827 0.519 0.000

Summary:
Magnetization = 0.15 μB/f.u.
Total DFT energy (no corrections) = -225.47 eV per cell


No. 6
MgTe2Mo2W2Se4S2: relaxed, PBE.

Lattice parameters (Å, degrees): 3.333 3.333 38.111 90.00 90.00 60.00
Positions (direct):
Mg1 0.000 0.000 0.000
Te1 0.418 0.175 0.184
Te2 0.418 0.175 0.284
Mo1 0.084 0.842 0.234
Mo2 0.418 0.175 0.422
W1 0.084 0.842 0.610
W2 0.418 0.175 0.798
Se1 0.084 0.842 0.378
Se2 0.084 0.842 0.466
Se3 0.418 0.175 0.566
Se4 0.418 0.175 0.654
S1 0.084 0.842 0.758
S2 0.084 0.842 0.838

Summary:
Excess energy over the best structure of this formula in the dataset = 25.8 meV per atom
Magnetization = 0.00 μB/f.u.
Total DFT energy (no corrections) = -83.51 eV per cell